The following is a PBE with a Hubbard U calculation of an optimized crystal structure of Li3Mn2Si2O8, from Materials Project.

a b c (Å): 6.5944 7.1677 7.6782
angles (deg): 89.18 88.51 87.58
Closest atoms and distances in Å follow each position.
Space group P1 (No. 1)
One atom of each set of equivalent atoms:
Li  0.0000  0.0000  0.0000 x1  4 O 2.00-2.12
Li  0.9997  0.5000  0.4991 x1  4 O 2.00-2.12
Li  0.5069  0.0016  0.3798 x1  3 O 1.85-1.99
Li  0.5068  0.5017  0.8796 x1  3 O 1.85-1.99
Li  0.7473  0.1917  0.6796 x1  4 O 2.01-2.15
Li  0.7485  0.6915  0.1802 x1  4 O 2.01-2.14
Mn  0.0184  0.0000  0.3778 x1  4 O 2.01-2.11
Mn  0.0182  0.4996  0.8773 x1  4 O 2.01-2.11
Mn  0.4852  0.5213  0.5089 x1  4 O 1.87-2.03
Mn  0.4858  0.0207  0.0088 x1  4 O 1.88-2.04
Si  0.2510  0.1690  0.6825 x1  4 O 1.61-1.68
Si  0.2518  0.6688  0.1826 x1  4 O 1.61-1.68
Si  0.7555  0.3247  0.1866 x1  4 O 1.62-1.69
Si  0.7569  0.8243  0.6866 x1  4 O 1.62-1.69
O  0.0308  0.2887  0.6873 x1  1 Si 1.66
O  0.0319  0.7888  0.1885 x1  1 Si 1.65
O  0.2590  0.0408  0.8662 x1  1 Si 1.67
O  0.2593  0.5388  0.3654 x1  1 Si 1.67, 1 Mn 1.87
O  0.2702  0.0419  0.5109 x1  1 Si 1.61
O  0.2699  0.5431  0.0101 x1  1 Si 1.61
O  0.4457  0.3125  0.6868 x1  1 Si 1.68
O  0.4470  0.8117  0.1874 x1  1 Si 1.68
O  0.5661  0.1798  0.1857 x1  1 Si 1.66
O  0.5681  0.6787  0.6860 x1  1 Si 1.66
O  0.7297  0.4633  0.3625 x1  1 Si 1.69
O  0.7308  0.9625  0.8629 x1  1 Si 1.69
O  0.7472  0.4716  0.0202 x1  1 Si 1.64
O  0.7473  0.9716  0.5205 x1  1 Si 1.64
O  0.9637  0.1976  0.1841 x1  1 Si 1.62
O  0.9658  0.6981  0.6836 x1  1 Si 1.62

Properties
energy relative to the lowest polymorph listed for this composition = 11 meV per atom
formation enthalpy at 0 K = -2.59 eV/atom
total moment = 0.0 μB per cell
raw total energy = -209.02 eV/cell